No. 1
The following is a DFT calculation (PBE) of a relaxed structure of Na2Ta2Ga2Si3S3O24.

Structure (extended XYZ):
```
108
Lattice="8.710 0.000 0.000 4.311 7.597 0.000 0.265 0.172 22.652" Properties=species:S:1:pos:R:3 pbc="T T T"
Na 0.000 0.000 0.000
Na 4.569 7.665 11.254
Na 4.434 2.597 7.560
Na 4.694 2.636 18.770
Na 8.804 5.113 14.899
Na 8.875 5.022 3.754
Ta 4.571 7.633 19.173
Ta 4.496 7.474 7.948
Ta 4.344 2.454 4.097
Ta 4.638 2.580 15.309
Ta 8.724 4.992 11.632
Ta 8.787 4.861 0.400
Ga 4.698 7.592 14.348
Ga 4.527 2.484 10.676
Ga 4.747 2.486 22.152
Ga 8.698 5.043 18.247
Ga 8.937 4.892 7.049
Ga 12.929 7.573 3.132
Si 3.105 5.398 5.464
Si 1.940 2.304 1.661
Si 5.839 5.446 16.752
Si 3.326 0.358 12.975
Si 6.361 4.917 9.179
Si 5.716 0.269 1.701
Si 7.088 2.400 12.967
Si 7.621 2.936 20.597
Si 10.195 2.854 9.260
S 1.479 2.266 16.809
S 3.277 4.757 13.019
S 6.920 7.487 5.459
S 5.616 4.651 1.691
S 7.728 7.318 20.557
S 10.047 7.225 9.236
S 7.568 2.155 5.470
S 10.729 7.576 16.819
S 11.453 5.087 20.536
O 1.226 1.398 18.043
O 3.850 6.077 13.227
O 3.832 6.108 6.775
O 0.995 1.049 1.944
O 3.525 3.887 14.272
O 3.628 3.948 20.707
O 2.851 2.700 2.995
O 3.875 4.158 11.831
O 3.051 2.613 9.440
O 2.960 2.334 16.736
O 2.807 2.229 0.312
O 5.187 6.185 18.124
O 1.741 0.136 13.134
O 3.864 3.893 5.295
O 1.799 0.183 6.688
O 5.094 5.993 1.858
O 5.467 6.380 15.517
O 5.419 6.315 9.073
O 6.202 7.429 20.407
O 6.107 7.348 4.262
O 3.550 1.285 11.711
O 5.044 4.057 0.483
O 3.466 1.167 5.368
O 5.125 3.948 16.687
O 3.937 1.082 20.666
O 3.960 1.088 14.376
O 5.399 3.677 9.422
O 5.471 3.798 2.906
O 7.928 6.494 21.764
O 7.247 5.307 10.544
O 7.813 6.355 5.623
O 6.018 2.792 20.764
O 7.456 5.315 16.907
O 8.309 6.714 19.344
O 7.130 4.763 1.550
O 5.030 0.985 3.027
O 7.257 4.835 7.855
O 6.175 2.795 14.346
O 5.188 0.971 9.359
O 8.404 6.488 12.888
O 5.564 1.220 16.743
O 6.064 2.254 5.326
O 6.148 2.264 11.703
O 5.502 1.118 0.368
O 7.937 3.788 19.277
O 9.275 6.382 1.476
O 9.487 6.624 8.026
O 7.997 3.796 12.926
O 8.114 3.510 5.580
O 8.376 3.663 21.885
O 9.909 6.389 17.069
O 9.904 6.399 10.457
O 7.798 1.322 6.672
O 7.301 0.251 18.049
O 10.213 5.215 5.640
O 11.533 7.399 15.623
O 8.155 1.565 4.252
O 7.992 1.124 13.320
O 7.292 0.027 1.828
O 11.560 7.364 9.099
O 9.474 3.585 10.572
O 8.362 1.438 20.384
O 10.647 5.370 21.778
O 9.645 3.616 17.010
O 9.701 3.701 1.531
O 10.514 4.847 12.952
O 10.623 4.949 19.345
O 9.958 3.701 7.926
O 9.567 1.667 15.633
O 12.304 6.357 20.429
O 9.407 1.386 9.035
O 12.162 6.247 4.145
```

Properties
total DFT energy (no corrections): -254.640 eV per formula unit
ΔH_f (0 K): -2.54 eV per atom

---

No. 2
The following is a DFT calculation (PBE) of a relaxed structure of Tb4Ni13C4.

Structure (extended XYZ):
```
21
Lattice="5.876 -6.010 0.000 5.876 6.010 0.000 0.000 0.000 3.882" Properties=species:S:1:pos:R:3 pbc="T T T"
Tb 5.876 3.766 0.000
Tb 4.097 0.000 0.000
Tb 7.655 0.000 0.000
Tb 5.876 -3.766 0.000
Ni 0.000 0.000 1.941
Ni 2.938 3.005 0.000
Ni 2.154 1.307 1.941
Ni 1.458 0.000 0.000
Ni 4.613 2.124 1.941
Ni 2.154 -1.307 1.941
Ni 7.139 2.124 1.941
Ni 2.938 -3.005 0.000
Ni 4.613 -2.124 1.941
Ni 9.598 1.307 1.941
Ni 7.139 -2.124 1.941
Ni 10.294 0.000 0.000
Ni 9.598 -1.307 1.941
C 2.938 3.005 1.941
C 5.876 0.681 1.941
C 2.938 -3.005 1.941
C 5.876 -0.681 1.941
```

Properties
total DFT energy (no corrections): -137.750 eV per formula unit
ΔH_f (0 K): -0.34 eV per atom

---

No. 3
The following is a DFT calculation (PBE) of a relaxed structure of TbFe10Si2.

Structure (extended XYZ):
```
13
Lattice="-2.374 4.149 4.189 2.374 -4.149 4.189 2.374 4.149 -4.189" Properties=species:S:1:pos:R:3 pbc="T T T"
Tb 0.000 0.000 0.000
Fe 1.187 2.074 -2.095
Fe 1.187 -2.074 2.095
Fe 2.374 1.738 0.000
Fe 0.000 2.943 0.000
Fe 0.000 0.000 3.024
Fe -1.187 2.074 2.095
Fe 1.187 2.074 2.095
Fe 0.000 0.000 5.355
Fe 0.000 5.354 0.000
Fe 0.000 2.410 4.189
Si 2.374 0.000 1.978
Si 0.000 4.149 2.212
```

Properties
total DFT energy (no corrections): -103.370 eV per formula unit
ΔH_f (0 K): -0.23 eV per atom

---

No. 4
The following is a DFT calculation (PBE) of a relaxed structure of TmZn12.

Structure (extended XYZ):
```
13
Lattice="-4.372 4.372 2.701 4.372 -4.372 2.701 4.372 4.372 -2.701" Properties=species:S:1:pos:R:3 pbc="T T T"
Tm 0.000 0.000 0.000
Zn 2.186 2.186 -1.350
Zn 3.081 0.000 0.000
Zn 2.186 -2.186 1.350
Zn 5.663 0.000 0.000
Zn 4.372 2.469 0.000
Zn 0.000 3.081 0.000
Zn -2.186 2.186 1.350
Zn 2.469 4.372 0.000
Zn 2.186 2.186 1.350
Zn 1.903 0.000 2.701
Zn 0.000 5.663 0.000
Zn 0.000 1.903 2.701
```

Properties
total DFT energy (no corrections): -21.792 eV per formula unit
ΔH_f (0 K): -0.17 eV per atom

---

No. 5
The following is a DFT calculation (PBE) of a relaxed structure of NaEr3.

Structure (extended XYZ):
```
16
Lattice="7.892 0.000 0.000 0.000 7.892 0.000 0.000 0.000 7.892" Properties=species:S:1:pos:R:3 pbc="T T T"
Na 0.000 0.000 0.000
Na 0.000 3.946 3.946
Na 3.946 0.000 3.946
Na 3.946 3.946 0.000
Er 0.000 0.000 3.946
Er 0.000 3.946 0.000
Er 1.973 1.973 1.973
Er 1.973 1.973 5.919
Er 1.973 5.919 1.973
Er 1.973 5.919 5.919
Er 3.946 0.000 0.000
Er 3.946 3.946 3.946
Er 5.919 1.973 1.973
Er 5.919 1.973 5.919
Er 5.919 5.919 1.973
Er 5.919 5.919 5.919
```

Properties
total DFT energy (no corrections): -13.744 eV per formula unit
ΔH_f (0 K): 0.32 eV per atom

---

No. 6
The following is a DFT calculation (PBE) of a relaxed structure of ReGe2.

Structure (extended XYZ):
```
12
Lattice="9.174 0.000 0.000 0.000 3.204 0.000 -3.570 0.000 6.703" Properties=species:S:1:pos:R:3 pbc="T T T"
Re 0.699 0.000 1.271
Re 0.318 1.602 5.432
Re 5.286 1.602 1.271
Re 4.905 0.000 5.432
Ge -2.247 1.602 5.939
Ge -0.564 0.000 3.606
Ge 1.581 1.602 3.097
Ge 3.264 0.000 0.764
Ge 2.340 0.000 5.939
Ge 4.023 1.602 3.606
Ge 6.168 0.000 3.097
Ge 7.851 1.602 0.764
```

Properties
total DFT energy (no corrections): -21.690 eV per formula unit
ΔH_f (0 K): 0.00 eV per atom

---

No. 7
The following is a DFT calculation (PBE) of a relaxed structure of SrSc2O4.

Structure (extended XYZ):
```
42
Lattice="4.879 -2.891 0.000 4.879 2.891 0.000 -0.092 0.000 20.512" Properties=species:S:1:pos:R:3 pbc="T T T"
Sr 4.810 2.258 15.384
Sr 3.236 0.637 7.260
Sr 3.190 -0.637 17.516
Sr 6.476 0.637 2.996
Sr 6.430 -0.637 13.251
Sr 4.856 -2.258 5.128
Sc 4.797 2.208 11.715
Sc 4.823 2.208 19.053
Sc 3.278 0.697 1.071
Sc 3.215 0.647 3.985
Sc 3.169 -0.647 14.241
Sc 3.232 -0.697 11.327
Sc 6.434 0.697 9.185
Sc 6.497 0.647 6.271
Sc 6.451 -0.647 16.526
Sc 6.388 -0.697 19.440
Sc 4.844 -2.208 1.459
Sc 4.869 -2.208 8.797
O 3.152 1.814 17.936
O 1.389 0.306 20.448
O 2.047 0.651 15.345
O 4.356 1.895 2.558
O 1.435 -0.306 10.192
O 3.599 0.891 12.705
O 5.356 1.895 7.697
O 2.093 -0.651 5.089
O 6.469 1.814 12.832
O 4.856 0.213 5.128
O 6.021 0.891 18.062
O 4.879 0.000 0.000
O 4.833 0.000 10.256
O 3.645 -0.891 2.450
O 4.810 -0.213 15.384
O 3.198 -1.814 7.680
O 7.573 0.651 15.423
O 4.310 -1.895 12.814
O 6.068 -0.891 7.806
O 8.232 0.306 10.320
O 5.310 -1.895 17.953
O 7.619 -0.651 5.167
O 8.278 -0.306 0.064
O 6.515 -1.814 2.576
```

Properties
ΔE to the lowest computed polymorph: 13 meV/atom
total DFT energy (no corrections): -57.472 eV per formula unit
ΔH_f (0 K): -3.72 eV per atom

---

No. 8
The following is a DFT calculation (PBE) of a relaxed structure of Sm4Au2O9.

Structure (extended XYZ):
```
60
Lattice="11.948 0.000 0.000 0.000 6.101 0.000 0.000 0.000 11.957" Properties=species:S:1:pos:R:3 pbc="T T T"
Sm 0.135 1.472 1.075
Sm 0.135 4.629 7.054
Sm 1.905 1.197 9.136
Sm 1.905 4.904 3.157
Sm 4.069 1.854 3.157
Sm 4.069 4.247 9.136
Sm 5.839 1.578 7.054
Sm 5.839 4.522 1.075
Sm 6.109 1.578 10.883
Sm 6.109 4.522 4.904
Sm 7.879 1.854 2.822
Sm 7.879 4.247 8.801
Sm 10.043 1.197 8.801
Sm 10.043 4.904 2.822
Sm 11.813 1.472 4.904
Sm 11.813 4.629 10.883
Au 2.732 2.561 6.107
Au 2.732 3.540 0.128
Au 3.242 0.490 0.128
Au 3.242 5.611 6.107
Au 8.706 0.490 5.851
Au 8.706 5.611 11.830
Au 9.216 2.561 11.830
Au 9.216 3.540 5.851
O 0.000 0.143 2.989
O 0.000 5.958 8.968
O 0.909 2.370 7.041
O 0.909 3.731 1.062
O 1.358 0.386 11.306
O 1.358 5.715 5.327
O 1.950 2.682 4.192
O 1.950 3.419 10.170
O 2.348 0.776 1.906
O 2.348 5.324 7.885
O 3.626 2.274 7.885
O 3.626 3.827 1.906
O 4.024 0.369 10.170
O 4.024 5.732 4.192
O 4.616 2.664 5.327
O 4.616 3.436 11.306
O 5.065 0.681 1.062
O 5.065 5.420 7.041
O 5.974 2.907 8.968
O 5.974 3.193 2.989
O 6.883 0.681 4.917
O 6.883 5.420 10.896
O 7.332 2.664 0.652
O 7.332 3.436 6.630
O 7.924 0.369 7.766
O 7.924 5.732 1.787
O 8.322 2.274 10.051
O 8.322 3.827 4.073
O 9.600 0.776 4.073
O 9.600 5.324 10.051
O 9.998 2.682 1.787
O 9.998 3.419 7.766
O 10.590 0.386 6.630
O 10.590 5.715 0.652
O 11.039 2.370 10.896
O 11.039 3.731 4.917
```

Properties
total DFT energy (no corrections): -105.825 eV per formula unit
ΔH_f (0 K): -2.80 eV per atom

---

Q: What is the formula in the eighth record?
A: Sm4Au2O9

---

Q: Number 4 is which compound?
A: TmZn12

---

Q: Which value of total DFT energy (no corrections) does entry 5 give?
A: -13.744 eV per formula unit

---

Q: Number 8 is which compound?
A: Sm4Au2O9